Entry 1:
Mg2Sc | GGA-PBE | relaxed

E = -3.212 eV/atom
formation energy = -0.034 eV per atom

a = 3.2597 Å, b = 16.5897 Å, c = 5.1787 Å
α = 90.00°, β = 90.00°, γ = 90.00°
Closest atoms and distances in Å follow each position.
Space group Cmcm (No. 63)
Inequivalent atoms, fractional coordinates:
Mg: 0.0000 0.1110 0.2500  6 Mg 3.19-3.26, 6 Sc 3.19-3.21
Mg: 0.0000 0.2230 0.7500  10 Mg 3.19-3.26, 2 Sc 3.21
Sc: 0.0000 0.4440 0.2500  4 Sc 3.19-3.26, 8 Mg 3.19-3.21

Entry 2:
Mg4Sc | GGA-PBE | relaxed

E = -2.519 eV/atom
total moment = 0.6 μB per formula unit
formation energy = 0.028 eV per atom

a = 3.2005 Å, b = 3.2005 Å, c = 39.6105 Å
α = 90.00°, β = 90.00°, γ = 120.00°
Closest atoms and distances in Å follow each position.
Space group R-3m (No. 166, hexagonal axes)
Inequivalent atoms, fractional coordinates:
Mg: 0.0000 0.0000 0.0997  9 Mg 3.20-3.22, 3 Sc 3.23
Mg: 0.0000 0.0000 0.3001  12 Mg 3.20-3.22
Sc: 0.0000 0.0000 0.5000  6 Sc 3.20, 6 Mg 3.23

Entry 3:
MgSc | GGA-PBE | relaxed

E = -3.989 eV/atom
total moment = 0.3 μB per formula unit
formation energy = -0.023 eV per atom

a = 5.1987 Å, b = 3.3628 Å, c = 5.3489 Å
α = 90.00°, β = 90.00°, γ = 90.00°
Closest atoms and distances in Å follow each position.
Space group Pmma (No. 51)
Inequivalent atoms, fractional coordinates:
Mg: 0.2500 0.0000 0.1946  8 Sc 3.15-3.17, 4 Mg 3.33-3.36
Sc: 0.2500 0.5000 0.6960  8 Mg 3.15-3.17, 4 Sc 3.34-3.36

Entry 4:
Mg5Sc | GGA-PBE | relaxed

E = -2.373 eV/atom
formation energy = 0.016 eV per atom

a = 5.5703 Å, b = 5.5703 Å, c = 5.1491 Å
α = 90.00°, β = 90.00°, γ = 120.00°
Closest atoms and distances in Å follow each position.
Space group P-62m (No. 189)
Inequivalent atoms, fractional coordinates:
Mg: 0.0000 0.6575 0.0000  10 Mg 3.16-3.30, 2 Sc 3.20
Mg: 0.3333 0.6667 0.5000  9 Mg 3.16-3.22, 3 Sc 3.22
Sc: 0.0000 0.0000 0.5000  12 Mg 3.20-3.22